No. 1
A relaxed structure of NbCr3Ag2S8, computed with PBE-GGA.

Structure (CIF):
```
data_NbCr3Ag2S8
_space_group_name_H-M_alt 'P 1'
_space_group_IT_number 1
_space_group_name_Hall 'P 1'
_cell_length_a 6.000
_cell_length_b 6.941
_cell_length_c 13.288
_cell_angle_alpha 90.51
_cell_angle_beta 90.23
_cell_angle_gamma 90.26
loop_
_atom_site_label
_atom_site_type_symbol
_atom_site_fract_x
_atom_site_fract_y
_atom_site_fract_z
Nb1 Nb 0.000 0.000 0.000
Nb2 Nb 0.494 0.789 0.501
Cr1 Cr 0.003 0.528 0.000
Cr2 Cr 0.005 0.018 0.499
Cr3 Cr 0.006 0.520 0.499
Cr4 Cr 0.501 0.269 0.998
Cr5 Cr 0.502 0.773 0.000
Cr6 Cr 0.506 0.263 0.501
Ag1 Ag 0.133 0.287 0.752
Ag2 Ag 0.455 0.280 0.250
Ag3 Ag 0.523 0.758 0.746
Ag4 Ag 0.844 0.751 0.247
S1 S 0.160 0.771 0.393
S2 S 0.168 0.280 0.099
S3 S 0.173 0.268 0.403
S4 S 0.178 0.768 0.108
S5 S 0.325 0.028 0.610
S6 S 0.334 0.516 0.900
S7 S 0.337 0.508 0.602
S8 S 0.340 0.018 0.893
S9 S 0.661 0.019 0.107
S10 S 0.668 0.511 0.399
S11 S 0.669 0.527 0.099
S12 S 0.679 0.019 0.391
S13 S 0.826 0.764 0.891
S14 S 0.839 0.278 0.901
S15 S 0.842 0.772 0.602
S16 S 0.845 0.270 0.596
```

Energy above the most stable polymorph in this dataset: 39.3 meV/atom
Crystal system: triclinic
Total DFT energy (no corrections): -171.68 eV/cell
ΔE_f: -0.860 eV per atom

No. 2
A relaxed structure of NbCr3Ag2S8, computed with PBE-GGA.

Structure (CIF):
```
data_NbCr3Ag2S8
_space_group_name_H-M_alt 'P m c 21'
_space_group_IT_number 26
_space_group_name_Hall 'P 2c -2'
_cell_length_a 3.470
_cell_length_b 12.203
_cell_length_c 11.851
_cell_angle_alpha 90.00
_cell_angle_beta 90.00
_cell_angle_gamma 90.00
loop_
_atom_site_label
_atom_site_type_symbol
_atom_site_fract_x
_atom_site_fract_y
_atom_site_fract_z
Nb1 Nb 0.000 0.031 0.000
Cr1 Cr 0.000 0.337 0.546
Cr2 Cr 0.500 0.183 0.755
Cr3 Cr 0.500 0.456 0.304
Ag1 Ag 0.000 0.171 0.288
Ag2 Ag 0.500 0.345 0.019
S1 S 0.000 0.136 0.617
S2 S 0.000 0.216 0.885
S3 S 0.000 0.373 0.201
S4 S 0.000 0.499 0.940
S5 S 0.500 0.000 0.351
S6 S 0.500 0.133 0.102
S7 S 0.500 0.292 0.418
S8 S 0.500 0.370 0.684
```

Energy above the most stable polymorph in this dataset: 113.5 meV/atom
Crystal system: orthorhombic
Total DFT energy (no corrections): -169.60 eV/cell
ΔE_f: -0.786 eV per atom

No. 3
A relaxed structure of NbCr3Ag2S8, computed with PBE-GGA.

Structure (CIF):
```
data_NbCr3Ag2S8
_space_group_name_H-M_alt 'P 1'
_space_group_IT_number 1
_space_group_name_Hall 'P 1'
_cell_length_a 6.474
_cell_length_b 7.642
_cell_length_c 12.522
_cell_angle_alpha 82.25
_cell_angle_beta 85.82
_cell_angle_gamma 89.94
loop_
_atom_site_label
_atom_site_type_symbol
_atom_site_fract_x
_atom_site_fract_y
_atom_site_fract_z
Nb1 Nb 0.000 0.000 0.000
Nb2 Nb 0.383 0.593 0.700
Cr1 Cr 0.083 0.186 0.299
Cr2 Cr 0.483 0.771 0.006
Cr3 Cr 0.598 0.437 0.292
Cr4 Cr 0.607 0.940 0.298
Cr5 Cr 0.869 0.838 0.705
Cr6 Cr 0.881 0.333 0.702
Ag1 Ag 0.107 0.682 0.305
Ag2 Ag 0.352 0.089 0.700
Ag3 Ag 0.491 0.262 0.003
Ag4 Ag 0.979 0.508 0.003
S1 S 0.002 0.101 0.630
S2 S 0.045 0.604 0.638
S3 S 0.104 0.215 0.121
S4 S 0.153 0.747 0.102
S5 S 0.335 0.020 0.903
S6 S 0.359 0.562 0.886
S7 S 0.420 0.176 0.352
S8 S 0.473 0.673 0.361
S9 S 0.559 0.847 0.625
S10 S 0.563 0.362 0.633
S11 S 0.610 0.505 0.113
S12 S 0.647 0.961 0.114
S13 S 0.809 0.811 0.891
S14 S 0.869 0.269 0.881
S15 S 0.906 0.403 0.364
S16 S 0.913 0.940 0.371
```

Energy above the most stable polymorph in this dataset: 193.8 meV/atom
Crystal system: triclinic
Total DFT energy (no corrections): -167.35 eV/cell
ΔE_f: -0.706 eV per atom

No. 4
A relaxed structure of NbCr3Ag2S8, computed with PBE-GGA.

Structure (CIF):
```
data_NbCr3Ag2S8
_space_group_name_H-M_alt 'P 1 2/c 1'
_space_group_IT_number 13
_space_group_name_Hall '-P 2yc'
_cell_length_a 6.638
_cell_length_b 5.785
_cell_length_c 15.195
_cell_angle_alpha 90.00
_cell_angle_beta 115.60
_cell_angle_gamma 90.00
loop_
_atom_site_label
_atom_site_type_symbol
_atom_site_fract_x
_atom_site_fract_y
_atom_site_fract_z
Nb1 Nb 0.000 0.000 0.000
Cr1 Cr 0.212 0.487 0.001
Cr2 Cr 0.500 0.000 0.000
Ag1 Ag 0.000 0.477 0.250
Ag2 Ag 0.500 0.154 0.750
S1 S 0.121 0.339 0.615
S2 S 0.154 0.178 0.396
S3 S 0.367 0.175 0.106
S4 S 0.412 0.343 0.909
```

Energy above the most stable polymorph in this dataset: 91.2 meV/atom
Crystal system: monoclinic
Total DFT energy (no corrections): -170.23 eV/cell
ΔE_f: -0.809 eV per atom

Q: Which value of energy above the most stable polymorph in this dataset does entry 3 give?
A: 193.8 meV/atom